No. 1
Compound: NaZnFeP2O8
Source: Materials Project
Functional: PBE+U
Structure: relaxed

The structure in POSCAR format:
```
NaZnFeP2O8
1.0
9.293 0.000 0.000
0.686 9.279 0.000
4.233 3.995 10.349
Na Zn Fe P O
6 6 6 12 48
Direct
0.000 0.000 0.000 Na
0.139 0.122 0.367 Na
0.252 0.248 0.749 Na
0.500 0.500 0.500 Na
0.748 0.752 0.251 Na
0.861 0.878 0.633 Na
0.085 0.779 0.348 Zn
0.142 0.602 0.623 Zn
0.358 0.890 0.876 Zn
0.642 0.110 0.124 Zn
0.858 0.398 0.377 Zn
0.915 0.221 0.652 Zn
0.039 0.341 0.097 Fe
0.407 0.715 0.153 Fe
0.473 0.160 0.401 Fe
0.527 0.840 0.599 Fe
0.593 0.285 0.847 Fe
0.961 0.659 0.903 Fe
0.085 0.666 0.122 P
0.173 0.950 0.674 P
0.204 0.420 0.423 P
0.300 0.075 0.072 P
0.327 0.545 0.823 P
0.412 0.835 0.376 P
0.588 0.165 0.624 P
0.673 0.455 0.177 P
0.700 0.925 0.928 P
0.796 0.580 0.577 P
0.827 0.050 0.326 P
0.915 0.334 0.878 P
0.009 0.743 0.222 O
0.012 0.738 0.017 O
0.034 0.361 0.460 O
0.048 0.487 0.188 O
0.063 0.052 0.612 O
0.109 0.778 0.721 O
0.165 0.518 0.934 O
0.189 0.185 0.131 O
0.191 0.984 0.786 O
0.232 0.437 0.537 O
0.235 0.799 0.445 O
0.238 0.579 0.310 O
0.264 0.705 0.056 O
0.267 0.062 0.958 O
0.278 0.913 0.181 O
0.307 0.516 0.709 O
0.309 0.297 0.377 O
0.339 0.974 0.567 O
0.387 0.717 0.780 O
0.441 0.437 0.873 O
0.449 0.016 0.309 O
0.470 0.141 0.028 O
0.486 0.759 0.275 O
0.495 0.764 0.475 O
0.505 0.236 0.525 O
0.514 0.241 0.725 O
0.530 0.859 0.972 O
0.551 0.984 0.691 O
0.559 0.563 0.127 O
0.613 0.283 0.220 O
0.661 0.026 0.433 O
0.691 0.703 0.623 O
0.693 0.484 0.291 O
0.722 0.087 0.819 O
0.733 0.938 0.042 O
0.736 0.295 0.944 O
0.762 0.421 0.690 O
0.765 0.201 0.555 O
0.768 0.563 0.463 O
0.809 0.016 0.214 O
0.811 0.815 0.869 O
0.835 0.482 0.066 O
0.891 0.222 0.279 O
0.937 0.948 0.388 O
0.952 0.513 0.812 O
0.966 0.639 0.540 O
0.988 0.262 0.983 O
0.991 0.257 0.778 O
```

Calculated values
For the total magnetic moment, the calculation gives 0.3846 μB/atom. As for the final energy: -509.77 eV/cell. Its formation energy is -2404 meV/atom. The total energy after the MP2020 corrections comes out at -556.3 eV per cell.



No. 2
Compound: Na2ZnFeP2O8
Source: Materials Project
Functional: PBE+U
Structure: relaxed

The structure in POSCAR format:
```
Na2ZnFeP2O8
1.0
5.083 0.000 0.000
0.000 9.088 0.000
-5.047 0.000 6.942
Na Zn Fe P O
4 2 2 4 16
Direct
0.217 0.149 0.250 Na
0.217 0.351 0.750 Na
0.783 0.649 0.250 Na
0.783 0.851 0.750 Na
0.500 0.000 0.000 Zn
0.500 0.500 0.500 Zn
0.000 0.000 0.500 Fe
0.000 0.500 0.000 Fe
0.288 0.675 0.750 P
0.288 0.825 0.250 P
0.712 0.175 0.750 P
0.712 0.325 0.250 P
0.001 0.615 0.750 O
0.001 0.885 0.250 O
0.253 0.620 0.567 O
0.253 0.880 0.067 O
0.296 0.652 0.250 O
0.296 0.848 0.750 O
0.385 0.121 0.568 O
0.385 0.379 0.068 O
0.615 0.621 0.932 O
0.615 0.879 0.432 O
0.704 0.152 0.250 O
0.704 0.348 0.750 O
0.747 0.120 0.933 O
0.747 0.380 0.433 O
0.999 0.115 0.750 O
0.999 0.385 0.250 O
```

Calculated values
For the total magnetic moment, the calculation gives 0.2857 μB/atom. As for the final energy: -177.84 eV/cell. Its formation energy is -2420 meV/atom. The total energy after the MP2020 corrections comes out at -193.3 eV per cell.



No. 3
Compound: NaZnFe2P3O12
Source: Materials Project
Functional: PBE+U
Structure: relaxed

The structure in POSCAR format:
```
NaZnFe2P3O12
1.0
5.179 0.000 0.000
0.000 12.366 0.000
0.000 0.000 15.216
Na Zn Fe P O
4 4 8 12 48
Direct
0.042 0.021 0.211 Na
0.458 0.979 0.711 Na
0.542 0.479 0.789 Na
0.958 0.521 0.289 Na
0.069 0.294 0.742 Zn
0.431 0.706 0.242 Zn
0.569 0.206 0.258 Zn
0.931 0.794 0.758 Zn
0.005 0.287 0.138 Fe
0.242 0.920 0.008 Fe
0.258 0.080 0.508 Fe
0.495 0.713 0.638 Fe
0.505 0.213 0.862 Fe
0.742 0.580 0.992 Fe
0.758 0.420 0.492 Fe
0.995 0.787 0.362 Fe
0.013 0.544 0.659 P
0.017 0.363 0.923 P
0.094 0.261 0.366 P
0.406 0.739 0.866 P
0.483 0.637 0.423 P
0.487 0.456 0.159 P
0.513 0.956 0.341 P
0.517 0.137 0.077 P
0.594 0.239 0.634 P
0.906 0.761 0.134 P
0.983 0.863 0.577 P
0.987 0.044 0.841 P
0.008 0.310 0.013 O
0.023 0.007 0.939 O
0.039 0.868 0.103 O
0.042 0.721 0.220 O
0.043 0.950 0.778 O
0.044 0.985 0.571 O
0.054 0.175 0.439 O
0.120 0.717 0.849 O
0.178 0.138 0.821 O
0.183 0.809 0.642 O
0.205 0.417 0.173 O
0.218 0.650 0.376 O
0.282 0.350 0.876 O
0.295 0.583 0.673 O
0.317 0.191 0.142 O
0.322 0.862 0.321 O
0.380 0.283 0.349 O
0.446 0.825 0.939 O
0.456 0.015 0.071 O
0.457 0.050 0.278 O
0.458 0.279 0.720 O
0.461 0.132 0.603 O
0.477 0.993 0.439 O
0.492 0.690 0.513 O
0.508 0.190 0.987 O
0.523 0.493 0.061 O
0.539 0.632 0.897 O
0.542 0.779 0.780 O
0.543 0.550 0.222 O
0.544 0.515 0.429 O
0.554 0.325 0.561 O
0.620 0.783 0.151 O
0.678 0.362 0.179 O
0.683 0.691 0.358 O
0.705 0.083 0.827 O
0.718 0.850 0.624 O
0.782 0.150 0.124 O
0.795 0.917 0.327 O
0.817 0.309 0.858 O
0.822 0.638 0.679 O
0.880 0.217 0.651 O
0.946 0.675 0.061 O
0.956 0.485 0.929 O
0.957 0.450 0.722 O
0.958 0.221 0.280 O
0.961 0.368 0.397 O
0.977 0.507 0.561 O
0.992 0.810 0.487 O
```

Calculated values
For the total magnetic moment, the calculation gives 0.5264 μB/atom. As for the final energy: -510.82 eV/cell. Its formation energy is -2385 meV/atom. The total energy after the MP2020 corrections comes out at -561.8 eV per cell.



No. 4
Compound: Na3Zr3FeP6O24
Source: Materials Project
Functional: PBE+U
Structure: relaxed

The structure in POSCAR format:
```
Na3Zr3FeP6O24
1.0
8.879 0.000 0.000
-4.425 8.124 0.000
-0.020 -4.859 14.654
Na Zr Fe P O
6 6 2 12 48
Direct
0.000 0.000 0.000 Na
0.056 0.818 0.144 Na
0.258 0.491 0.760 Na
0.496 0.997 0.522 Na
0.596 0.816 0.330 Na
0.756 0.485 0.261 Na
0.038 0.052 0.686 Zr
0.228 0.430 0.086 Zr
0.282 0.547 0.436 Zr
0.478 0.931 0.834 Zr
0.726 0.428 0.579 Zr
0.787 0.551 0.937 Zr
0.542 0.055 0.187 Fe
0.988 0.944 0.339 Fe
0.174 0.740 0.635 P
0.239 0.750 0.280 P
0.243 0.746 0.994 P
0.275 0.237 0.528 P
0.281 0.235 0.241 P
0.340 0.241 0.885 P
0.676 0.752 0.138 P
0.737 0.739 0.779 P
0.740 0.745 0.486 P
0.775 0.240 0.034 P
0.777 0.242 0.739 P
0.837 0.233 0.381 P
0.019 0.398 0.399 O
0.058 0.725 0.982 O
0.074 0.767 0.287 O
0.127 0.074 0.256 O
0.158 0.904 0.651 O
0.163 0.075 0.447 O
0.186 0.583 0.198 O
0.197 0.223 0.617 O
0.216 0.255 0.153 O
0.225 0.579 0.007 O
0.234 0.227 0.801 O
0.248 0.256 0.969 O
0.267 0.725 0.551 O
0.281 0.755 0.719 O
0.292 0.402 0.513 O
0.301 0.727 0.367 O
0.320 0.761 0.905 O
0.329 0.402 0.322 O
0.345 0.905 0.078 O
0.358 0.079 0.869 O
0.397 0.906 0.265 O
0.443 0.218 0.229 O
0.456 0.254 0.541 O
0.497 0.584 0.122 O
0.521 0.405 0.902 O
0.558 0.730 0.472 O
0.572 0.755 0.792 O
0.631 0.079 0.756 O
0.653 0.909 0.151 O
0.665 0.081 0.949 O
0.690 0.578 0.698 O
0.693 0.223 0.120 O
0.713 0.257 0.651 O
0.722 0.581 0.503 O
0.730 0.219 0.298 O
0.748 0.254 0.467 O
0.776 0.733 0.056 O
0.783 0.767 0.224 O
0.793 0.405 0.016 O
0.802 0.725 0.868 O
0.818 0.763 0.398 O
0.826 0.404 0.822 O
0.850 0.904 0.571 O
0.855 0.071 0.369 O
0.885 0.903 0.764 O
0.943 0.228 0.728 O
0.957 0.257 0.044 O
0.994 0.578 0.618 O
```

Calculated values
For the total magnetic moment, the calculation gives 0.1351 μB/atom. As for the final energy: -560.70 eV/cell. Its formation energy is -2967 meV/atom. As for the energy above the most stable polymorph in this dataset: 0 meV per atom. The total energy after the MP2020 corrections comes out at -598.2 eV per cell.



No. 5
Compound: NaPrZrFeO6
Source: Materials Project
Functional: PBE+U
Structure: relaxed

The structure in POSCAR format:
```
NaPrZrFeO6
1.0
0.000 3.997 3.997
3.997 0.000 3.997
3.997 3.997 0.000
Na Pr Zr Fe O
1 1 1 1 6
Direct
0.000 0.000 0.000 Na
0.500 0.500 0.500 Pr
0.750 0.750 0.750 Zr
0.250 0.250 0.250 Fe
0.008 0.008 0.492 O
0.008 0.492 0.008 O
0.008 0.492 0.492 O
0.492 0.008 0.008 O
0.492 0.008 0.492 O
0.492 0.492 0.008 O
```

Calculated values
For the total magnetic moment, the calculation gives 0.4000 μB/atom. As for the final energy: -73.12 eV/cell. Its formation energy is -2668 meV/atom. The total energy after the MP2020 corrections comes out at -79.5 eV per cell.



No. 6
Compound: Na2FeS2O10
Source: Materials Project
Functional: PBE+U
Structure: relaxed

The structure in POSCAR format:
```
Na2FeS2O10
1.0
16.330 0.000 0.000
0.000 7.035 0.000
0.000 0.000 7.400
Na Fe S O
8 4 8 40
Direct
0.158 0.009 0.061 Na
0.158 0.491 0.061 Na
0.342 0.509 0.561 Na
0.342 0.991 0.561 Na
0.658 0.009 0.439 Na
0.658 0.491 0.439 Na
0.842 0.509 0.939 Na
0.842 0.991 0.939 Na
0.000 0.000 0.500 Fe
0.000 0.500 0.500 Fe
0.500 0.000 0.000 Fe
0.500 0.500 0.000 Fe
0.010 0.750 0.132 S
0.165 0.250 0.487 S
0.335 0.750 0.987 S
0.490 0.250 0.632 S
0.510 0.750 0.368 S
0.665 0.250 0.013 S
0.835 0.750 0.513 S
0.990 0.250 0.868 S
0.020 0.750 0.575 O
0.029 0.574 0.244 O
0.029 0.926 0.244 O
0.070 0.750 0.984 O
0.075 0.250 0.926 O
0.120 0.074 0.546 O
0.120 0.426 0.546 O
0.178 0.250 0.290 O
0.245 0.250 0.902 O
0.246 0.250 0.580 O
0.254 0.750 0.080 O
0.255 0.750 0.402 O
0.322 0.750 0.790 O
0.380 0.574 0.046 O
0.380 0.926 0.046 O
0.425 0.750 0.426 O
0.430 0.250 0.484 O
0.471 0.074 0.744 O
0.471 0.426 0.744 O
0.480 0.250 0.075 O
0.520 0.750 0.925 O
0.529 0.574 0.256 O
0.529 0.926 0.256 O
0.570 0.750 0.516 O
0.575 0.250 0.574 O
0.620 0.074 0.954 O
0.620 0.426 0.954 O
0.678 0.250 0.210 O
0.745 0.250 0.598 O
0.746 0.250 0.920 O
0.754 0.750 0.420 O
0.755 0.750 0.098 O
0.822 0.750 0.710 O
0.880 0.574 0.454 O
0.880 0.926 0.454 O
0.925 0.750 0.074 O
0.930 0.250 0.016 O
0.971 0.074 0.756 O
0.971 0.426 0.756 O
0.980 0.250 0.425 O
```

Calculated values
For the total magnetic moment, the calculation gives 0.4001 μB/atom. As for the final energy: -335.91 eV/cell. Its formation energy is -1616 meV/atom. The total energy after the MP2020 corrections comes out at -372.4 eV per cell.